Compound: Li11V8P12O48
Source: the Materials Project
Functional: PBE with a Hubbard U
Structure: relaxed

- MP2020-corrected energy (eV for the cell shown) = -610.59
- energy above the lowest structure with this stoichiometry (kJ/mol of formula units) = 0
- calculated formation energy (eV/atom) = -2.715
- size of the total moment (μB/f.u.) = 15.0
- uncorrected energy (eV for the cell shown) = -564.015
- density (kg/m3) = 2872

Cell: 12.255 8.720 8.784 Å, 90.30 90.18 90.16°
Fractional coordinates of all 79 atoms:
O1 0.268 0.678 0.981
O2 0.154 0.921 0.100
O3 0.730 0.330 0.023
O4 0.278 0.314 0.481
O5 0.179 0.838 0.765
O6 0.662 0.569 0.914
O7 0.975 0.846 0.925
O8 0.722 0.686 0.515
O9 0.772 0.169 0.525
O10 0.080 0.646 0.155
O11 0.679 0.341 0.740
O12 0.684 0.664 0.231
O13 0.426 0.951 0.362
O14 0.437 0.053 0.863
O15 0.420 0.851 0.663
O16 0.921 0.657 0.329
O17 0.821 0.159 0.241
O18 0.184 0.152 0.269
O19 0.567 0.951 0.143
O20 0.320 0.661 0.263
O21 0.531 0.654 0.427
O22 0.465 0.664 0.055
O23 0.418 0.157 0.173
O24 0.321 0.331 0.763
O25 0.663 0.432 0.395
O26 0.337 0.568 0.601
O27 0.341 0.433 0.091
O28 0.581 0.148 0.343
O29 0.532 0.342 0.944
O30 0.924 0.450 0.139
O31 0.225 0.168 0.985
O32 0.068 0.566 0.860
O33 0.159 0.076 0.602
O34 0.575 0.049 0.642
O35 0.067 0.447 0.353
O36 0.584 0.846 0.832
O37 0.968 0.161 0.445
O38 0.817 0.836 0.734
O39 0.840 0.931 0.413
O40 0.032 0.153 0.071
O41 0.923 0.354 0.841
O42 0.842 0.069 0.897
O43 0.228 0.841 0.480
O44 0.032 0.845 0.561
O45 0.084 0.360 0.667
O46 0.930 0.553 0.641
O47 0.471 0.351 0.564
O48 0.782 0.815 0.017
Li1 0.713 0.948 0.586
Li2 0.685 0.685 0.732
Li3 0.290 0.056 0.418
Li4 0.317 0.314 0.267
Li5 0.682 0.273 0.228
Li6 0.182 0.218 0.778
Li7 0.181 0.774 0.276
Li8 0.819 0.227 0.729
Li9 0.785 0.554 0.082
Li10 0.317 0.715 0.773
Li11 0.816 0.814 0.233
V1 0.612 0.255 0.540
V2 0.385 0.244 0.961
V3 0.388 0.747 0.462
V4 0.610 0.760 0.039
V5 0.113 0.260 0.462
V6 0.114 0.746 0.958
V7 0.888 0.245 0.041
V8 0.889 0.743 0.539
P1 0.999 0.544 0.247
P2 0.855 0.893 0.894
P3 0.854 0.109 0.403
P4 0.502 0.956 0.751
P5 0.351 0.609 0.099
P6 0.645 0.391 0.902
P7 0.000 0.460 0.750
P8 0.498 0.046 0.253
P9 0.148 0.101 0.106
P10 0.354 0.393 0.605
P11 0.647 0.607 0.393
P12 0.146 0.898 0.604

=====

Compound: CaLaVCrO6
Source: the Materials Project
Functional: PBE with a Hubbard U
Structure: relaxed

- MP2020-corrected energy (eV for the cell shown) = -171.95
- calculated formation energy (eV/atom) = -3.061
- size of the total moment (μB/f.u.) = 2.0
- uncorrected energy (eV for the cell shown) = -156.305
- density (kg/m3) = 5322

Cell: 5.455 5.528 7.820 Å, 90.04 90.35 90.03°
Fractional coordinates of all 20 atoms:
Cr1 0.501 0.000 0.499
Cr2 0.000 0.501 0.999
O1 0.714 0.284 0.043
O2 0.779 0.795 0.040
O3 0.215 0.216 0.542
O4 0.226 0.211 0.963
O5 0.726 0.289 0.464
O6 0.574 0.023 0.752
O7 0.791 0.786 0.455
O8 0.919 0.519 0.748
O9 0.074 0.478 0.252
O10 0.279 0.705 0.539
O11 0.291 0.714 0.954
O12 0.418 0.980 0.248
V1 0.500 0.001 0.001
V2 0.000 0.499 0.501
La1 0.005 0.967 0.749
La2 0.506 0.533 0.249
Ca1 0.991 0.042 0.250
Ca2 0.491 0.458 0.750

=====

Compound: Sr4LiMn2Cu3S4O4
Source: the Materials Project
Functional: PBE with a Hubbard U
Structure: relaxed

- MP2020-corrected energy (eV for the cell shown) = -106.95
- energy above the lowest structure with this stoichiometry (kJ/mol of formula units) = 178
- calculated formation energy (eV/atom) = -1.740
- size of the total moment (μB/f.u.) = 10.0
- uncorrected energy (eV for the cell shown) = -98.858
- density (kg/m3) = 4570

Cell: 5.911 5.900 9.356 Å, 91.18 71.59 93.84°
Fractional coordinates of all 18 atoms:
S1 0.326 0.495 0.371
S2 0.804 0.004 0.370
S3 0.175 0.015 0.667
S4 0.657 0.486 0.667
O1 0.259 0.750 0.983
O2 0.754 0.750 0.992
O3 0.758 0.250 0.984
O4 0.220 0.250 0.060
Sr1 0.877 0.534 0.168
Sr2 0.089 0.520 0.789
Sr3 0.621 0.980 0.790
Sr4 0.455 0.966 0.168
Cu1 0.984 0.252 0.526
Cu2 0.502 0.749 0.497
Cu3 0.502 0.249 0.498
Li1 0.120 0.250 0.260
Mn1 0.030 0.015 0.969
Mn2 0.501 0.485 0.969

=====

Compound: MgZnFe4O8
Source: the Materials Project
Functional: PBE with a Hubbard U
Structure: relaxed

- MP2020-corrected energy (eV for the cell shown) = -102.73
- energy above the lowest structure with this stoichiometry (kJ/mol of formula units) = 0
- calculated formation energy (eV/atom) = -1.886
- size of the total moment (μB/f.u.) = 20.0
- uncorrected energy (eV for the cell shown) = -88.215
- density (kg/m3) = 4757

Cell: 6.036 6.036 6.036 Å, 59.57 59.57 59.57°
Fractional coordinates of all 14 atoms:
Mg1 0.626 0.626 0.626
Fe1 0.247 0.247 0.247
Fe2 0.626 0.119 0.626
Fe3 0.119 0.626 0.626
Fe4 0.626 0.626 0.119
O1 0.866 0.866 0.866
O2 0.868 0.406 0.868
O3 0.378 0.859 0.378
O4 0.383 0.383 0.383
O5 0.378 0.378 0.859
O6 0.406 0.868 0.868
O7 0.868 0.868 0.406
O8 0.859 0.378 0.378
Zn1 0.002 0.002 0.002

=====

Compound: MgNbCrO4
Source: the Materials Project
Functional: PBE with a Hubbard U
Structure: relaxed

- MP2020-corrected energy (eV for the cell shown) = -58.61
- energy above the lowest structure with this stoichiometry (kJ/mol of formula units) = 39
- calculated formation energy (eV/atom) = -2.494
- size of the total moment (μB/f.u.) = 5.0
- uncorrected energy (eV for the cell shown) = -53.861
- density (kg/m3) = 4307

Cell: 3.048 5.438 5.701 Å, 107.91 90.00 90.00°
Fractional coordinates of all 7 atoms:
O1 0.970 0.400 0.229
O2 0.471 0.885 0.183
O3 0.471 0.115 0.817
O4 0.970 0.600 0.771
Cr1 0.469 0.500 0.500
Nb1 0.971 0.000 0.000
Mg1 0.471 0.500 0.000

=====

Compound: Li4Fe3Ni3Sb2O16
Source: the Materials Project
Functional: PBE with a Hubbard U
Structure: relaxed

- MP2020-corrected energy (eV for the cell shown) = -186.34
- energy above the lowest structure with this stoichiometry (kJ/mol of formula units) = 0
- calculated formation energy (eV/atom) = -1.733
- size of the total moment (μB/f.u.) = 18.0
- uncorrected energy (eV for the cell shown) = -160.958
- density (kg/m3) = 4904

Cell: 5.908 5.916 9.704 Å, 90.69 89.88 119.61°
Fractional coordinates of all 28 atoms:
O1 0.338 0.675 0.615
O2 0.964 0.482 0.348
O3 0.174 0.840 0.093
O4 0.667 0.332 0.108
O5 0.519 0.035 0.346
O6 0.671 0.838 0.094
O7 0.492 0.963 0.842
O8 0.510 0.478 0.349
O9 0.992 0.988 0.798
O10 0.839 0.176 0.594
O11 0.476 0.505 0.848
O12 0.832 0.677 0.594
O13 0.331 0.168 0.596
O14 0.999 0.998 0.302
O15 0.167 0.336 0.095
O16 0.034 0.519 0.846
Sb1 0.338 0.669 0.984
Sb2 0.665 0.335 0.488
Fe1 0.340 0.172 0.213
Fe2 0.833 0.172 0.214
Fe3 0.166 0.337 0.715
Ni1 0.659 0.826 0.713
Ni2 0.830 0.659 0.213
Ni3 0.169 0.829 0.713
Li1 0.333 0.671 0.405
Li2 0.998 0.999 0.491
Li3 0.996 0.990 0.988
Li4 0.668 0.332 0.902